Entry 1:
VASP calculation (GGA+U) on an optimized crystal structure of Li2TiCr2O6.

a = 5.135 Å, b = 10.214 Å, c = 5.135 Å
α = 90.00°, β = 120.00°, γ = 90.00°
Element x y z (fractional)
Ti  0.500  0.500  0.000
O  0.178  0.599  0.000
Li  0.148  0.750  0.500
O  0.822  0.401  0.000
O  0.170  0.394  0.664
O  0.493  0.606  0.663
Cr  0.664  0.000  0.328
O  0.993  0.894  0.664
O  0.007  0.106  0.336
Cr  0.336  0.000  0.672
Cr  0.164  0.500  0.328
O  0.678  0.901  0.000
O  0.670  0.106  0.664
Cr  0.836  0.500  0.672
O  0.830  0.606  0.336
O  0.330  0.894  0.336
O  0.322  0.099  0.000
Li  0.352  0.250  0.500
Li  0.852  0.250  0.500
Li  0.648  0.750  0.500
O  0.507  0.394  0.336
Ti  0.000  0.000  0.000

Results
Energy relative to the elements ... -28.93 eV per formula unit
Raw total energy ... -163.0 eV for the cell shown
Space group ... Cmce, No. 64

---

Entry 2:
VASP calculation (GGA+U) on an optimized crystal structure of Li2MnP2O7.

a = 6.661 Å, b = 9.364 Å, c = 10.518 Å
α = 113.75°, β = 88.58°, γ = 106.76°
Element x y z (fractional)
Li  0.044  0.199  0.514
O  0.739  0.082  0.008
O  0.641  0.699  0.457
O  0.630  0.337  0.038
O  0.458  0.719  0.682
O  0.563  0.091  0.803
O  0.931  0.281  0.903
O  0.626  0.144  0.463
O  0.958  0.528  0.302
O  0.271  0.907  0.988
O  0.034  0.268  0.289
Li  0.165  0.485  0.037
O  0.260  0.541  0.452
P  0.701  0.193  0.942
O  0.280  0.317  0.819
O  0.698  0.528  0.798
P  0.551  0.285  0.463
O  0.964  0.723  0.719
P  0.077  0.180  0.794
P  0.310  0.799  0.056
Mn  0.284  0.895  0.783
P  0.443  0.711  0.532
O  0.958  0.094  0.646
P  0.122  0.444  0.300
P  0.930  0.808  0.199
O  0.041  0.892  0.348
O  0.083  0.709  0.097
O  0.918  0.934  0.143
P  0.865  0.544  0.697
Li  0.164  0.109  0.136
Mn  0.359  0.502  0.735
Mn  0.723  0.096  0.214
Mn  0.630  0.490  0.255
Li  0.632  0.079  0.622
O  0.723  0.675  0.172
O  0.535  0.272  0.311
O  0.351  0.295  0.535
O  0.375  0.651  0.961
O  0.733  0.456  0.542
O  0.281  0.453  0.192
Li  0.939  0.827  0.499
Li  0.352  0.923  0.377
O  0.369  0.854  0.535
O  0.447  0.902  0.196
O  0.097  0.055  0.849
O  0.026  0.453  0.687
Li  0.864  0.893  0.881
Li  0.602  0.512  0.973

Results
Energy relative to the elements ... -31.61 eV per formula unit
Raw total energy ... -334.3 eV for the cell shown
Space group ... P1, No. 1

---

Entry 3:
VASP calculation (GGA+U) on an optimized crystal structure of LiFeBO3.

a = 6.302 Å, b = 8.199 Å, c = 8.787 Å
α = 62.07°, β = 68.95°, γ = 89.76°
Element x y z (fractional)
O  0.014  0.746  0.471
O  0.514  0.746  0.471
O  0.955  0.803  0.088
O  0.359  0.472  0.783
Fe  0.315  0.638  0.369
O  0.861  0.471  0.782
Li  0.902  0.281  0.702
O  0.945  0.086  0.109
O  0.599  0.110  0.804
Fe  0.181  0.990  0.634
O  0.680  0.423  0.137
Li  0.239  0.702  0.017
Li  0.744  0.703  0.016
B  0.084  0.333  0.333
Fe  0.506  0.376  0.990
Li  0.397  0.282  0.702
O  0.032  0.138  0.441
O  0.180  0.421  0.138
B  0.000  0.997  0.001
O  0.445  0.088  0.108
B  0.416  0.667  0.667
Li  0.110  0.016  0.281
Fe  0.681  0.993  0.637
O  0.041  0.440  0.422
O  0.532  0.139  0.439
Fe  0.809  0.632  0.382
O  0.874  0.782  0.746
Li  0.609  0.016  0.282
O  0.100  0.107  0.805
O  0.539  0.441  0.421
O  0.375  0.783  0.746
B  0.584  0.334  0.332
Fe  0.004  0.369  0.993
O  0.457  0.806  0.085
B  0.917  0.666  0.667
B  0.500  0.001  0.999

Results
Energy relative to the elements ... -13.96 eV per formula unit
Raw total energy ... -249.3 eV for the cell shown
Space group ... P1, No. 1

---

Entry 4:
VASP calculation (GGA+U) on an optimized crystal structure of MgV4O10.

a = 5.432 Å, b = 9.681 Å, c = 5.682 Å
α = 90.85°, β = 61.84°, γ = 84.34°
Element x y z (fractional)
V  0.044  0.631  0.648
O  0.662  0.307  0.334
O  0.836  0.469  0.730
O  0.177  0.420  0.149
Mg  0.557  0.448  0.109
O  0.252  0.884  0.099
V  0.938  0.838  0.216
V  0.942  0.349  0.427
O  0.166  0.191  0.432
O  0.388  0.589  0.420
O  0.928  0.724  0.967
O  0.630  0.180  0.932
V  0.537  0.154  0.247
O  0.684  0.994  0.303
O  0.865  0.739  0.491

Results
Energy relative to the elements ... -35.39 eV per formula unit
Raw total energy ... -109.1 eV for the cell shown
Space group ... P1, No. 1